(1)
DFT (PBE+U) results for an optimized crystal structure of LiNiP5O15.

## Properties
As for the symmetry: Pc, No. 7. For the energy above the lowest structure with this stoichiometry, the calculation gives 12 meV per atom. Its total DFT energy (no corrections) is -6.653 eV/atom. Its formation enthalpy at 0 K is -2.284 eV per atom.

```
LiNiP5O15
1.0
-1.414 -3.194 -8.828
5.321 -0.086 -0.821
5.093 -11.712 3.422
Li Ni P O
2 2 10 30
Direct
0.295 0.940 0.417
0.705 0.940 0.917
0.985 0.031 0.498
0.015 0.031 0.998
0.000 0.017 0.247
0.522 0.553 0.353
0.193 0.368 0.585
0.181 0.629 0.913
0.479 0.446 0.647
0.819 0.629 0.413
0.521 0.446 0.147
0.807 0.368 0.085
0.000 0.017 0.747
0.478 0.553 0.853
0.891 0.772 0.296
0.104 0.269 0.696
0.515 0.281 0.934
0.345 0.694 0.882
0.149 0.771 0.989
0.842 0.206 0.015
0.398 0.743 0.331
0.851 0.771 0.489
0.109 0.772 0.796
0.586 0.513 0.248
0.923 0.060 0.840
0.820 0.664 0.034
0.495 0.706 0.554
0.610 0.278 0.677
0.650 0.273 0.129
0.078 0.968 0.157
0.655 0.694 0.382
0.350 0.273 0.629
0.602 0.743 0.831
0.485 0.281 0.434
0.846 0.337 0.449
0.077 0.060 0.340
0.896 0.269 0.196
0.922 0.968 0.657
0.158 0.206 0.515
0.414 0.513 0.748
0.505 0.706 0.054
0.390 0.278 0.177
0.180 0.664 0.534
0.154 0.337 0.949
```



(2)
DFT (PBE+U) results for an optimized crystal structure of LiNiPO4.

## Properties
As for the symmetry: P2_1, No. 4. For the energy above the lowest structure with this stoichiometry, the calculation gives 88 meV per atom. Its total DFT energy (no corrections) is -6.221 eV/atom. Its formation enthalpy at 0 K is -2.277 eV per atom.

```
LiNiPO4
1.0
-9.792 0.177 0.195
-0.080 -4.702 0.252
0.139 0.315 6.687
Li Ni P O
4 4 4 16
Direct
0.305 0.757 0.736
0.742 0.294 0.724
0.242 0.706 0.276
0.805 0.243 0.264
0.015 0.784 0.967
0.088 0.241 0.533
0.588 0.759 0.467
0.515 0.216 0.033
0.200 0.207 0.976
0.906 0.723 0.530
0.406 0.277 0.470
0.700 0.793 0.024
0.344 0.091 0.923
0.191 0.535 0.976
0.639 0.933 0.833
0.108 0.078 0.801
0.909 0.610 0.749
0.275 0.413 0.561
0.900 0.052 0.512
0.536 0.388 0.580
0.036 0.612 0.420
0.400 0.948 0.488
0.775 0.587 0.439
0.409 0.390 0.251
0.608 0.922 0.199
0.139 0.067 0.167
0.691 0.465 0.024
0.844 0.909 0.077
```



(3)
DFT (PBE+U) results for an optimized crystal structure of LiNi2P3O10.

## Properties
As for the symmetry: C2/c, No. 15. For the energy above the lowest structure with this stoichiometry, the calculation gives 73 meV per atom. Its total DFT energy (no corrections) is -6.512 eV/atom. Its formation enthalpy at 0 K is -2.310 eV per atom.

```
LiNi2P3O10
1.0
4.604 6.398 0.000
-4.604 6.398 0.000
0.000 4.495 7.355
Li Ni P O
2 4 6 20
Direct
0.361 0.639 0.250
0.639 0.361 0.750
0.676 0.755 0.455
0.755 0.676 0.955
0.245 0.324 0.045
0.324 0.245 0.545
0.844 0.447 0.311
0.447 0.844 0.811
0.910 0.090 0.250
0.090 0.910 0.750
0.553 0.156 0.189
0.156 0.553 0.689
0.884 0.890 0.376
0.890 0.884 0.876
0.524 0.955 0.315
0.785 0.478 0.493
0.692 0.569 0.221
0.955 0.524 0.815
0.828 0.224 0.373
0.478 0.785 0.993
0.569 0.692 0.721
0.776 0.172 0.127
0.224 0.828 0.873
0.431 0.308 0.279
0.522 0.215 0.007
0.172 0.776 0.627
0.045 0.476 0.185
0.308 0.431 0.779
0.215 0.522 0.507
0.476 0.045 0.685
0.110 0.116 0.124
0.116 0.110 0.624
```



(4)
DFT (PBE+U) results for an optimized crystal structure of LiNiPO4.

## Properties
For the energy above the lowest structure with this stoichiometry, the calculation gives 84 meV per atom. Its total DFT energy (no corrections) is -6.225 eV/atom. Its formation enthalpy at 0 K is -2.282 eV per atom.

```
LiNiPO4
1.0
-4.876 2.381 0.341
-0.974 -4.761 6.429
3.901 2.381 6.090
Li Ni P O
4 4 4 16
Direct
0.739 0.761 0.739
0.239 0.261 0.239
0.483 0.517 0.483
0.983 0.017 0.983
0.918 0.523 0.185
0.611 0.948 0.343
0.418 0.023 0.685
0.111 0.449 0.843
0.094 0.771 0.454
0.594 0.271 0.954
0.909 0.226 0.549
0.409 0.726 0.049
0.148 0.212 0.478
0.649 0.712 0.978
0.952 0.687 0.623
0.452 0.187 0.123
0.367 0.840 0.536
0.867 0.340 0.036
0.744 0.048 0.576
0.244 0.548 0.076
0.123 0.622 0.383
0.622 0.122 0.883
0.008 0.247 0.748
0.508 0.747 0.248
0.951 0.940 0.286
0.451 0.439 0.786
0.728 0.382 0.393
0.228 0.882 0.893
```



(5)
DFT (PBE+U) results for an optimized crystal structure of LiNiPO4.

## Properties
As for the symmetry: P1, No. 1. For the energy above the lowest structure with this stoichiometry, the calculation gives 70 meV per atom. Its total DFT energy (no corrections) is -6.239 eV/atom. Its formation enthalpy at 0 K is -2.296 eV per atom.

```
LiNiPO4
1.0
-9.936 0.000 0.000
-4.963 -8.635 0.000
-4.940 -2.835 16.255
Li Ni P O
16 16 16 64
Direct
0.379 0.321 0.063
0.877 0.819 0.063
0.133 0.553 0.314
0.060 0.488 0.814
0.240 0.822 0.562
0.239 0.320 0.562
0.741 0.878 0.562
0.558 0.996 0.814
0.635 0.990 0.314
0.125 0.061 0.314
0.500 0.562 0.813
0.741 0.378 0.564
0.003 0.051 0.814
0.317 0.877 0.065
0.631 0.497 0.315
0.820 0.378 0.063
0.759 0.677 0.440
0.262 0.122 0.438
0.624 0.673 0.939
0.872 0.946 0.685
0.260 0.621 0.440
0.179 0.621 0.939
0.867 0.453 0.684
0.126 0.176 0.941
0.370 0.497 0.684
0.996 0.953 0.185
0.765 0.174 0.439
0.947 0.501 0.186
0.367 0.001 0.685
0.495 0.449 0.184
0.448 0.998 0.184
0.680 0.121 0.939
0.371 0.316 0.874
0.817 0.367 0.875
0.314 0.871 0.876
0.127 0.184 0.130
0.061 0.128 0.627
0.684 0.127 0.127
0.439 0.817 0.374
0.563 0.181 0.628
0.943 0.868 0.375
0.628 0.681 0.129
0.064 0.625 0.627
0.561 0.685 0.629
0.941 0.372 0.376
0.181 0.629 0.127
0.443 0.314 0.374
0.870 0.812 0.874
0.374 0.420 0.295
0.864 0.423 0.299
0.551 0.347 0.616
0.325 0.393 0.951
0.608 0.797 0.362
0.608 0.301 0.366
0.397 0.827 0.951
0.044 0.492 0.611
0.728 0.798 0.864
0.140 0.572 0.705
0.011 0.646 0.887
0.331 0.893 0.451
0.449 0.652 0.384
0.588 0.569 0.204
0.169 0.105 0.055
0.634 0.581 0.706
0.107 0.724 0.364
0.912 0.919 0.796
0.604 0.169 0.052
0.830 0.325 0.451
0.874 0.915 0.295
0.853 0.991 0.112
0.900 0.770 0.639
0.396 0.195 0.640
0.271 0.195 0.141
0.640 0.071 0.704
0.107 0.231 0.362
0.081 0.079 0.207
0.485 0.846 0.118
0.080 0.579 0.206
0.146 0.008 0.892
0.188 0.774 0.140
0.917 0.414 0.795
0.362 0.930 0.298
0.456 0.148 0.386
0.828 0.893 0.949
0.545 0.853 0.615
0.174 0.169 0.552
0.988 0.351 0.116
0.178 0.668 0.553
0.396 0.694 0.640
0.647 0.503 0.890
0.043 0.992 0.612
0.232 0.297 0.862
0.691 0.272 0.140
0.326 0.395 0.448
0.581 0.076 0.204
0.672 0.606 0.052
0.672 0.106 0.551
0.102 0.669 0.052
0.960 0.004 0.391
0.807 0.222 0.865
0.411 0.428 0.799
0.899 0.330 0.948
0.416 0.921 0.798
0.825 0.829 0.448
0.302 0.729 0.864
0.674 0.605 0.554
0.956 0.508 0.392
0.513 0.150 0.885
0.769 0.695 0.141
0.350 0.493 0.112
0.897 0.272 0.641
0.136 0.076 0.705
```



(6)
DFT (PBE+U) results for an optimized crystal structure of Li6Ni9P8O32.

## Properties
As for the symmetry: P-1, No. 2. Its total DFT energy (no corrections) is -6.252 eV/atom. Its formation enthalpy at 0 K is -2.247 eV per atom.

```
Li6Ni9P8O32
1.0
8.685 0.000 0.000
-1.832 8.571 0.000
-1.557 -3.852 8.147
Li Ni P O
6 9 8 32
Direct
0.362 0.099 0.972
0.981 0.281 0.745
0.678 0.685 0.647
0.322 0.315 0.353
0.019 0.719 0.255
0.638 0.901 0.028
0.500 0.500 0.000
0.195 0.729 0.929
0.298 0.145 0.583
0.000 0.000 0.000
0.678 0.293 0.542
0.000 0.500 0.500
0.322 0.707 0.458
0.702 0.855 0.417
0.805 0.271 0.071
0.609 0.043 0.716
0.833 0.621 0.910
0.339 0.552 0.721
0.046 0.880 0.653
0.954 0.120 0.347
0.661 0.448 0.279
0.167 0.379 0.090
0.391 0.957 0.284
0.700 0.044 0.877
0.989 0.323 0.981
0.722 0.518 0.977
0.114 0.063 0.668
0.456 0.101 0.741
0.398 0.407 0.749
0.418 0.727 0.876
0.790 0.788 0.923
0.150 0.516 0.705
0.729 0.149 0.657
0.098 0.879 0.826
0.820 0.518 0.725
0.142 0.186 0.412
0.446 0.147 0.425
0.380 0.557 0.567
0.117 0.744 0.538
0.883 0.256 0.462
0.620 0.443 0.433
0.554 0.853 0.575
0.858 0.814 0.588
0.180 0.482 0.275
0.902 0.121 0.174
0.271 0.851 0.343
0.850 0.484 0.295
0.210 0.212 0.077
0.582 0.273 0.124
0.602 0.593 0.251
0.544 0.899 0.259
0.886 0.937 0.332
0.278 0.482 0.023
0.011 0.677 0.019
0.300 0.956 0.123
```



(7)
DFT (PBE+U) results for an optimized crystal structure of Li2Ni5P4O16.

## Properties
As for the symmetry: P-1, No. 2. For the energy above the lowest structure with this stoichiometry, the calculation gives 0 meV per atom. Its total DFT energy (no corrections) is -6.256 eV/atom. Its formation enthalpy at 0 K is -2.188 eV per atom.

```
Li2Ni5P4O16
1.0
-1.809 6.163 4.492
-6.019 -1.768 -4.780
-1.135 -3.765 3.397
Li Ni P O
2 5 4 16
Direct
0.042 0.283 0.629
0.958 0.717 0.371
0.255 0.770 0.102
0.000 0.000 0.000
0.406 0.670 0.635
0.594 0.330 0.365
0.745 0.230 0.898
0.794 0.579 0.852
0.697 0.971 0.359
0.303 0.029 0.641
0.206 0.421 0.148
0.794 0.055 0.645
0.659 0.124 0.209
0.983 0.747 0.902
0.768 0.491 0.111
0.825 0.433 0.655
0.206 0.945 0.355
0.341 0.876 0.791
0.017 0.253 0.098
0.232 0.509 0.889
0.175 0.567 0.345
0.174 0.104 0.769
0.507 0.815 0.345
0.363 0.369 0.276
0.637 0.631 0.724
0.493 0.185 0.655
0.826 0.896 0.231
```



(8)
DFT (PBE+U) results for an optimized crystal structure of LiNi3P3O13.

## Properties
As for the symmetry: P2_1/m, No. 11. Its total DFT energy (no corrections) is -6.078 eV/atom. Its formation enthalpy at 0 K is -1.915 eV per atom.

```
LiNi3P3O13
1.0
6.277 0.000 0.000
0.000 7.295 -1.270
0.000 0.058 10.281
Li Ni P O
2 6 6 26
Direct
0.750 0.625 0.165
0.250 0.375 0.835
0.250 0.363 0.200
0.750 0.637 0.800
0.250 0.761 0.437
0.500 0.000 0.000
0.750 0.239 0.563
0.000 0.000 0.000
0.250 0.212 0.487
0.750 0.788 0.513
0.250 0.741 0.762
0.750 0.259 0.238
0.750 0.314 0.888
0.250 0.686 0.112
0.750 0.365 0.746
0.559 0.751 0.417
0.250 0.807 0.629
0.543 0.209 0.906
0.750 0.642 0.605
0.750 0.878 0.905
0.250 0.358 0.395
0.043 0.791 0.094
0.250 0.020 0.404
0.750 0.980 0.596
0.062 0.614 0.785
0.250 0.122 0.095
0.562 0.386 0.215
0.750 0.510 0.970
0.750 0.193 0.371
0.457 0.791 0.094
0.941 0.751 0.417
0.441 0.249 0.583
0.438 0.614 0.785
0.250 0.635 0.254
0.750 0.086 0.129
0.250 0.914 0.871
0.938 0.386 0.215
0.957 0.209 0.906
0.059 0.249 0.583
0.250 0.490 0.030
```



Number 1: E (MP2020) -7.24 eV/atom, total magnetization 3.59 μB per formula unit. Number 2: E (MP2020) -6.98 eV/atom, total magnetization 2.00 μB per formula unit. Number 3: E (MP2020) -7.26 eV/atom, total magnetization 4.00 μB per formula unit. Number 4: E (MP2020) -6.98 eV/atom, total magnetization 0.00 μB per formula unit. Number 5: E (MP2020) -6.99 eV/atom, total magnetization 2.00 μB per formula unit. Number 6: E (MP2020) -7.07 eV/atom, total magnetization 18.00 μB per formula unit. Number 7: E (MP2020) -7.13 eV/atom, total magnetization 10.00 μB per formula unit. Number 8: E (MP2020) -6.91 eV/atom, total magnetization 3.09 μB per formula unit.